A plane-wave DFT calculation with r2SCAN was carried out for an optimized crystal structure of PaAs.

Computed properties:
SG = Fm-3m
E_form = -1.209 eV/atom

Cell lengths 4.088, 4.088, 4.088 Å; angles 60.00, 60.00, 60.00 degrees
Atoms (fractional coordinates):
Pa 0.500 0.500 0.500
As 0.000 0.000 0.000



A plane-wave DFT calculation with r2SCAN was carried out for an optimized crystal structure of GdInPt2.

Computed properties:
SG = P6_3/mmc
E_form = -1.038 eV/atom

Cell lengths 4.571, 4.571, 9.081 Å; angles 90.00, 90.00, 120.00 degrees
Atoms (fractional coordinates):
Gd 0.667 0.333 0.750
Gd 0.333 0.667 0.250
In 0.000 0.000 0.500
In 0.000 0.000 0.000
Pt 0.667 0.333 0.090
Pt 0.333 0.667 0.910
Pt 0.333 0.667 0.590
Pt 0.667 0.333 0.410



A plane-wave DFT calculation with r2SCAN was carried out for an optimized crystal structure of TbAg2.

Computed properties:
SG = I4/mmm
E_form = -0.330 eV/atom

Cell lengths 3.722, 3.722, 5.306 Å; angles 110.53, 110.53, 90.00 degrees
Atoms (fractional coordinates):
Tb 0.000 0.000 0.000
Ag 0.329 0.329 0.658
Ag 0.671 0.671 0.342



A plane-wave DFT calculation with r2SCAN was carried out for an optimized crystal structure of VPO4.

Computed properties:
SG = Pnma
E_form = -2.556 eV/atom

Cell lengths 4.700, 8.650, 6.473 Å; angles 90.00, 90.00, 90.00 degrees
Atoms (fractional coordinates):
V 0.000 0.000 0.500
V 0.500 0.500 0.000
V 0.000 0.000 0.000
V 0.500 0.500 0.500
P 0.477 0.177 0.250
P 0.977 0.323 0.750
P 0.023 0.677 0.250
P 0.523 0.823 0.750
O 0.789 0.118 0.250
O 0.289 0.382 0.750
O 0.711 0.618 0.250
O 0.211 0.882 0.750
O 0.946 0.144 0.750
O 0.446 0.356 0.250
O 0.554 0.644 0.750
O 0.054 0.856 0.250
O 0.333 0.121 0.054
O 0.333 0.121 0.446
O 0.833 0.379 0.554
O 0.833 0.379 0.946
O 0.167 0.621 0.054
O 0.167 0.621 0.446
O 0.667 0.879 0.554
O 0.667 0.879 0.946



A plane-wave DFT calculation with r2SCAN was carried out for an optimized crystal structure of Li3MnB2O6.

Computed properties:
SG = P2_1/c
E_form = -2.388 eV/atom

Cell lengths 7.856, 6.040, 10.552 Å; angles 68.95, 90.00, 90.00 degrees
Atoms (fractional coordinates):
Li 0.196 0.756 0.648
Li 0.717 0.700 0.828
Li 0.036 0.407 0.910
Li 0.536 0.593 0.590
Li 0.217 0.300 0.672
Li 0.696 0.244 0.852
Li 0.304 0.756 0.148
Li 0.783 0.700 0.328
Li 0.464 0.407 0.410
Li 0.964 0.593 0.090
Li 0.283 0.300 0.172
Li 0.804 0.244 0.352
Mn 0.070 0.919 0.381
Mn 0.570 0.081 0.119
Mn 0.430 0.919 0.881
Mn 0.930 0.081 0.619
B 0.377 0.437 0.858
B 0.911 0.161 0.133
B 0.411 0.839 0.367
B 0.877 0.563 0.642
B 0.123 0.437 0.358
B 0.589 0.161 0.633
B 0.089 0.839 0.867
B 0.623 0.563 0.142
O 0.471 0.628 0.861
O 0.953 0.788 0.582
O 0.727 0.536 0.705
O 0.059 0.281 0.102
O 0.289 0.825 0.467
O 0.867 0.021 0.266
O 0.367 0.979 0.234
O 0.789 0.175 0.033
O 0.227 0.464 0.795
O 0.559 0.719 0.398
O 0.453 0.212 0.918
O 0.971 0.372 0.639
O 0.029 0.628 0.361
O 0.547 0.788 0.082
O 0.441 0.281 0.602
O 0.773 0.536 0.205
O 0.211 0.825 0.967
O 0.633 0.021 0.766
O 0.133 0.979 0.734
O 0.711 0.175 0.533
O 0.941 0.719 0.898
O 0.273 0.464 0.295
O 0.047 0.212 0.418
O 0.529 0.372 0.139



A plane-wave DFT calculation with r2SCAN was carried out for an optimized crystal structure of EuZrF7.

Computed properties:
SG = P2_1
E_form = -3.939 eV/atom

Cell lengths 5.756, 6.142, 8.311 Å; angles 102.09, 90.00, 90.00 degrees
Atoms (fractional coordinates):
Eu 0.700 0.657 0.687
Eu 0.200 0.343 0.313
Zr 0.709 0.811 0.225
Zr 0.209 0.189 0.775
F 0.885 0.456 0.471
F 0.385 0.544 0.529
F 0.430 0.933 0.770
F 0.930 0.067 0.230
F 0.953 0.960 0.762
F 0.453 0.040 0.238
F 0.996 0.452 0.784
F 0.496 0.548 0.216
F 0.697 0.756 0.978
F 0.197 0.244 0.022
F 0.707 0.864 0.473
F 0.207 0.136 0.527
F 0.499 0.379 0.787
F 0.999 0.621 0.213



A plane-wave DFT calculation with r2SCAN was carried out for an optimized crystal structure of CsP2H5O8.

Computed properties:
SG = P2_1/c
E_form = -1.824 eV/atom

Cell lengths 7.728, 9.486, 10.756 Å; angles 85.25, 90.00, 90.00 degrees
Atoms (fractional coordinates):
Cs 0.677 0.456 0.237
Cs 0.177 0.044 0.763
Cs 0.323 0.544 0.763
Cs 0.823 0.956 0.237
P 0.196 0.324 0.442
P 0.696 0.176 0.558
P 0.804 0.676 0.558
P 0.304 0.824 0.442
P 0.187 0.264 0.071
P 0.687 0.236 0.929
P 0.813 0.736 0.929
P 0.313 0.764 0.071
H 0.291 0.543 0.427
H 0.791 0.957 0.573
H 0.709 0.457 0.573
H 0.209 0.043 0.427
H 0.486 0.179 0.422
H 0.986 0.321 0.578
H 0.514 0.821 0.578
H 0.014 0.679 0.422
H 0.046 0.301 0.263
H 0.546 0.199 0.737
H 0.954 0.699 0.737
H 0.454 0.801 0.263
H 0.265 0.484 0.096
H 0.765 0.016 0.904
H 0.735 0.516 0.904
H 0.235 0.984 0.096
H 0.988 0.338 0.937
H 0.488 0.162 0.063
H 0.012 0.662 0.063
H 0.512 0.838 0.937
O 0.288 0.187 0.424
O 0.788 0.313 0.576
O 0.712 0.813 0.576
O 0.212 0.687 0.424
O 0.045 0.354 0.351
O 0.545 0.146 0.649
O 0.955 0.646 0.649
O 0.455 0.854 0.351
O 0.337 0.441 0.429
O 0.837 0.059 0.571
O 0.663 0.559 0.571
O 0.163 0.941 0.429
O 0.117 0.327 0.576
O 0.617 0.173 0.424
O 0.883 0.673 0.424
O 0.383 0.827 0.576
O 0.298 0.134 0.063
O 0.798 0.366 0.937
O 0.702 0.866 0.937
O 0.202 0.634 0.063
O 0.034 0.242 0.159
O 0.534 0.258 0.841
O 0.966 0.758 0.841
O 0.466 0.742 0.159
O 0.310 0.383 0.112
O 0.810 0.117 0.888
O 0.690 0.617 0.888
O 0.190 0.883 0.112
O 0.117 0.315 0.938
O 0.617 0.185 0.062
O 0.883 0.685 0.062
O 0.383 0.815 0.938



A plane-wave DFT calculation with r2SCAN was carried out for an optimized crystal structure of TaSi2.

Computed properties:
SG = P6_422
E_form = -0.446 eV/atom

Cell lengths 4.784, 4.784, 6.553 Å; angles 90.00, 90.00, 120.00 degrees
Atoms (fractional coordinates):
Ta 0.000 0.500 0.333
Ta 0.500 0.500 0.667
Ta 0.500 0.000 0.000
Si 0.842 0.683 0.000
Si 0.158 0.842 0.667
Si 0.683 0.842 0.333
Si 0.158 0.317 0.000
Si 0.842 0.158 0.667
Si 0.317 0.158 0.333



A plane-wave DFT calculation with r2SCAN was carried out for an optimized crystal structure of SiO2.

Computed properties:
E_form = -3.017 eV/atom

Cell lengths 9.791, 9.791, 10.114 Å; angles 90.00, 90.00, 90.00 degrees
Atoms (fractional coordinates):
Si 0.159 0.591 0.125
Si 0.659 0.909 0.375
Si 0.841 0.091 0.875
Si 0.159 0.409 0.875
Si 0.841 0.909 0.125
Si 0.659 0.091 0.625
Si 0.841 0.409 0.875
Si 0.341 0.091 0.625
Si 0.159 0.909 0.125
Si 0.841 0.591 0.125
Si 0.159 0.091 0.875
Si 0.341 0.909 0.375
Si 0.341 0.591 0.375
Si 0.341 0.409 0.625
Si 0.659 0.409 0.625
Si 0.659 0.591 0.375
O 0.000 0.566 0.160
O 0.684 0.750 0.410
O 0.816 0.250 0.910
O 0.000 0.434 0.840
O 0.000 0.066 0.840
O 0.000 0.934 0.160
O 0.816 0.750 0.090
O 0.684 0.250 0.590
O 0.316 0.250 0.590
O 0.184 0.750 0.090
O 0.184 0.250 0.910
O 0.316 0.750 0.410
O 0.500 0.066 0.660
O 0.500 0.934 0.340
O 0.500 0.566 0.340
O 0.500 0.434 0.660
O 0.250 0.547 0.250
O 0.703 0.000 0.500
O 0.797 0.000 0.000
O 0.250 0.453 0.750
O 0.750 0.047 0.750
O 0.750 0.953 0.250
O 0.750 0.453 0.750
O 0.297 0.000 0.500
O 0.203 0.000 0.000
O 0.750 0.547 0.250
O 0.250 0.953 0.250
O 0.250 0.047 0.750
O 0.203 0.500 0.000
O 0.297 0.500 0.500
O 0.797 0.500 0.000
O 0.703 0.500 0.500



A plane-wave DFT calculation with r2SCAN was carried out for an optimized crystal structure of Sm2Al9Ir3.

Computed properties:
SG = Cmcm
E_form = -0.954 eV/atom

Cell lengths 7.540, 7.540, 9.523 Å; angles 90.00, 90.00, 119.40 degrees
Atoms (fractional coordinates):
Sm 0.995 0.671 0.750
Sm 0.005 0.329 0.250
Sm 0.671 0.995 0.750
Sm 0.329 0.005 0.250
Al 0.131 0.131 0.750
Al 0.869 0.869 0.250
Al 0.003 0.335 0.572
Al 0.997 0.665 0.428
Al 0.997 0.665 0.072
Al 0.335 0.003 0.928
Al 0.003 0.335 0.928
Al 0.665 0.997 0.072
Al 0.665 0.997 0.428
Al 0.335 0.003 0.572
Al 0.334 0.334 0.047
Al 0.666 0.666 0.953
Al 0.666 0.666 0.547
Al 0.334 0.334 0.453
Al 0.339 0.547 0.750
Al 0.661 0.453 0.250
Al 0.547 0.339 0.750
Al 0.453 0.661 0.250
Ir 0.672 0.328 0.500
Ir 0.328 0.672 0.500
Ir 0.328 0.672 0.000
Ir 0.672 0.328 0.000
Ir 0.000 0.000 0.500
Ir 0.000 0.000 0.000



A plane-wave DFT calculation with r2SCAN was carried out for an optimized crystal structure of RbCaCl3.

Computed properties:
SG = R3c
E_form = -2.493 eV/atom

Cell lengths 7.508, 7.508, 7.508 Å; angles 60.88, 60.88, 60.88 degrees
Atoms (fractional coordinates):
Rb 0.258 0.258 0.258
Rb 0.758 0.758 0.758
Ca 0.006 0.006 0.006
Ca 0.506 0.506 0.506
Cl 0.815 0.253 0.696
Cl 0.696 0.815 0.253
Cl 0.253 0.696 0.815
Cl 0.315 0.196 0.753
Cl 0.196 0.753 0.315
Cl 0.753 0.315 0.196



A plane-wave DFT calculation with r2SCAN was carried out for an optimized crystal structure of Ni3P.

Computed properties:
SG = I-4
E_form = -0.424 eV/atom

Cell lengths 4.324, 6.630, 6.629 Å; angles 83.91, 70.99, 70.97 degrees
Atoms (fractional coordinates):
Ni 0.158 0.333 0.398
Ni 0.444 0.398 0.666
Ni 0.509 0.602 0.333
Ni 0.890 0.667 0.601
Ni 0.578 0.947 0.388
Ni 0.034 0.388 0.053
Ni 0.476 0.612 0.947
Ni 0.912 0.053 0.612
Ni 0.181 0.965 0.189
Ni 0.630 0.189 0.035
Ni 0.854 0.811 0.965
Ni 0.335 0.036 0.812
P 0.734 0.236 0.334
P 0.932 0.334 0.764
P 0.030 0.666 0.236
P 0.305 0.764 0.666



A plane-wave DFT calculation with r2SCAN was carried out for an optimized crystal structure of BaTiO3.

Computed properties:
SG = Amm2
E_form = -3.365 eV/atom

Cell lengths 3.983, 4.057, 4.057 Å; angles 90.25, 90.00, 90.00 degrees
Atoms (fractional coordinates):
Ba 0.000 0.003 0.997
Ti 0.500 0.519 0.481
O 0.500 0.491 0.022
O 0.500 0.978 0.509
O 0.000 0.488 0.512



A plane-wave DFT calculation with r2SCAN was carried out for an optimized crystal structure of HoSiPt2.

Computed properties:
SG = Pnma
E_form = -1.274 eV/atom

Cell lengths 5.491, 6.919, 7.263 Å; angles 90.00, 90.00, 90.00 degrees
Atoms (fractional coordinates):
Ho 0.363 0.750 0.026
Ho 0.137 0.750 0.526
Ho 0.637 0.250 0.974
Ho 0.863 0.250 0.474
Si 0.636 0.750 0.379
Si 0.864 0.750 0.879
Si 0.364 0.250 0.621
Si 0.136 0.250 0.121
Pt 0.909 0.551 0.182
Pt 0.591 0.949 0.682
Pt 0.091 0.051 0.818
Pt 0.409 0.449 0.318
Pt 0.091 0.449 0.818
Pt 0.409 0.051 0.318
Pt 0.909 0.949 0.182
Pt 0.591 0.551 0.682